A relaxed LiBiS2 crystal, computed with PBE.

```
LiBiS2
1.0
-0.684 3.007 -2.554
1.665 -2.130 -2.954
-4.865 -2.132 -1.206
S Bi Li
2 1 1
Direct
0.000 0.000 0.500
0.500 0.500 0.000
0.500 0.500 0.500
0.000 0.000 0.000
```

Results
- Raw total energy: -0.154 hartree per atom
- Crystal system: tetragonal
- ΔH_f (0 K): -0.921 eV per atom

***

A relaxed Li3BiS4 crystal, computed with PBE.

```
Li3BiS4
1.0
-0.981 2.450 -6.636
2.310 -8.793 -3.588
-9.723 -2.729 0.429
S Bi Li
16 4 12
Direct
0.506 0.695 0.750
0.643 0.016 0.478
0.143 0.484 0.478
0.038 0.801 0.250
0.962 0.199 0.750
0.494 0.305 0.250
0.357 0.984 0.522
0.462 0.301 0.750
0.643 0.016 0.022
0.994 0.195 0.250
0.857 0.516 0.978
0.143 0.484 0.022
0.357 0.984 0.978
0.538 0.699 0.250
0.006 0.805 0.750
0.857 0.516 0.522
0.252 0.518 0.750
0.752 0.982 0.750
0.248 0.018 0.250
0.748 0.482 0.250
0.309 0.892 0.750
0.809 0.608 0.750
0.772 0.784 0.412
0.191 0.392 0.250
0.728 0.284 0.912
0.228 0.216 0.912
0.272 0.716 0.088
0.272 0.716 0.412
0.228 0.216 0.588
0.691 0.108 0.250
0.772 0.784 0.088
0.728 0.284 0.588
```

Results
- Raw total energy: -0.148 hartree per atom
- Crystal system: orthorhombic
- ΔH_f (0 K): -1.017 eV per atom

***

A relaxed LiBiS2 crystal, computed with PBE.

```
LiBiS2
1.0
6.445 -1.989 0.000
6.445 1.989 0.000
5.831 0.000 3.391
S Li Bi
2 1 1
Direct
0.246 0.246 0.246
0.754 0.754 0.754
0.500 0.500 0.500
0.000 0.000 0.000
```

Results
- Raw total energy: -0.156 hartree per atom
- Crystal system: trigonal
- ΔH_f (0 K): -0.987 eV per atom

***

A relaxed Li3SmBi2 crystal, computed with PBE.

```
Li3SmBi2
1.0
2.346 -4.063 0.000
2.346 4.063 0.000
0.000 0.000 7.401
Bi Li Sm
2 3 1
Direct
0.333 0.667 0.749
0.667 0.333 0.251
0.667 0.333 0.651
0.000 0.000 0.500
0.333 0.667 0.349
0.000 0.000 0.000
```

Results
- Raw total energy: -0.137 hartree per atom
- Crystal system: trigonal
- ΔH_f (0 K): -0.679 eV per atom

***

A relaxed SrLiBi crystal, computed with PBE.

```
SrLiBi
1.0
-2.837 3.650 1.767
-4.250 0.111 -7.051
-5.531 -5.869 3.242
Sr Bi Li
4 4 4
Direct
0.250 0.503 0.291
0.750 0.497 0.709
0.250 0.003 0.209
0.750 0.997 0.791
0.750 0.224 0.406
0.250 0.776 0.594
0.750 0.724 0.094
0.250 0.276 0.906
0.250 0.163 0.575
0.250 0.663 0.925
0.750 0.837 0.425
0.750 0.337 0.075
```

Results
- Raw total energy: -0.122 hartree per atom
- Crystal system: orthorhombic
- ΔH_f (0 K): -0.827 eV per atom

***

A relaxed Li3YBi2 crystal, computed with PBE.

```
Li3YBi2
1.0
1.036 2.757 -3.636
3.307 -2.713 1.896
-1.788 -5.393 -4.597
Li Bi Y
3 2 1
Direct
0.333 0.667 0.345
0.667 0.333 0.655
0.000 0.000 0.500
0.667 0.333 0.247
0.333 0.667 0.753
0.000 0.000 0.000
```

Results
- Raw total energy: -0.147 hartree per atom
- Crystal system: trigonal
- ΔH_f (0 K): -0.666 eV per atom

***

A relaxed LuBi3 crystal, computed with PBE.

```
LuBi3
1.0
3.412 -5.909 0.000
3.412 5.909 0.000
0.000 0.000 5.960
Bi Lu
6 2
Direct
0.346 0.173 0.750
0.654 0.827 0.250
0.827 0.173 0.750
0.827 0.654 0.750
0.173 0.346 0.250
0.173 0.827 0.250
0.667 0.333 0.250
0.333 0.667 0.750
```

Results
- Raw total energy: -0.157 hartree per atom
- Crystal system: hexagonal
- ΔH_f (0 K): -0.229 eV per atom

***

A relaxed LuBi3 crystal, computed with PBE.

```
LuBi3
1.0
4.940 0.000 0.000
0.000 4.940 0.000
0.000 0.000 4.940
Bi Lu
3 1
Direct
0.000 0.500 0.500
0.500 0.500 0.000
0.500 0.000 0.500
0.000 0.000 0.000
```

Results
- Raw total energy: -0.157 hartree per atom
- Crystal system: cubic
- ΔH_f (0 K): -0.221 eV per atom

***

A relaxed LuBi3O6 crystal, computed with PBE.

```
LuBi3O6
1.0
4.788 -5.061 0.000
4.788 5.061 0.000
-0.562 0.000 6.944
O Bi Lu
12 6 2
Direct
0.528 0.402 0.194
0.598 0.806 0.472
0.072 0.304 0.933
0.067 0.928 0.696
0.472 0.598 0.806
0.806 0.472 0.598
0.194 0.528 0.402
0.304 0.933 0.072
0.402 0.194 0.528
0.933 0.072 0.304
0.928 0.696 0.067
0.696 0.067 0.928
0.446 0.929 0.749
0.749 0.446 0.929
0.251 0.554 0.071
0.929 0.749 0.446
0.554 0.071 0.251
0.071 0.251 0.554
0.000 0.000 0.000
0.500 0.500 0.500
```

Results
- Raw total energy: -0.235 hartree per atom
- Crystal system: trigonal
- ΔH_f (0 K): -2.224 eV per atom

***

A relaxed LuBiO3 crystal, computed with PBE.

```
LuBiO3
1.0
2.045 5.584 -1.087
-3.381 4.870 1.179
1.389 3.773 4.515
O Lu Bi
6 2 2
Direct
0.638 0.430 0.083
0.930 0.138 0.583
0.138 0.583 0.930
0.430 0.083 0.638
0.583 0.930 0.138
0.083 0.638 0.430
0.278 0.278 0.278
0.778 0.778 0.778
0.493 0.493 0.493
0.993 0.993 0.993
```

Results
- Raw total energy: -0.261 hartree per atom
- Crystal system: trigonal
- ΔH_f (0 K): -2.855 eV per atom

***

A relaxed LuBiO3 crystal, computed with PBE.

```
LuBiO3
1.0
5.351 -2.947 0.000
5.351 2.947 0.000
3.728 0.000 4.839
O Lu Bi
6 2 2
Direct
0.216 0.547 0.981
0.547 0.981 0.216
0.784 0.453 0.019
0.981 0.216 0.547
0.019 0.784 0.453
0.453 0.019 0.784
0.145 0.145 0.145
0.855 0.855 0.855
0.641 0.641 0.641
0.359 0.359 0.359
```

Results
- Raw total energy: -0.260 hartree per atom
- Crystal system: trigonal
- ΔH_f (0 K): -2.824 eV per atom

***

A relaxed LuBiPd2 crystal, computed with PBE.

```
LuBiPd2
1.0
0.000 3.439 3.439
3.439 0.000 3.439
3.439 3.439 0.000
Pd Lu Bi
2 1 1
Direct
0.750 0.750 0.750
0.250 0.250 0.250
0.000 0.000 0.000
0.500 0.500 0.500
```

Results
- Raw total energy: -0.199 hartree per atom
- Crystal system: cubic
- ΔH_f (0 K): -0.736 eV per atom

***

A relaxed Lu5BiPd2 crystal, computed with PBE.

```
Lu5BiPd2
1.0
5.889 -5.224 -3.759
6.655 -0.041 5.639
-8.428 -1.608 1.574
Lu Bi Pd
10 2 4
Direct
0.483 0.983 0.188
0.017 0.205 0.500
0.705 0.517 0.500
0.517 0.017 0.812
0.205 0.705 0.188
0.500 0.500 0.000
0.000 0.000 0.000
0.295 0.483 0.500
0.983 0.795 0.500
0.795 0.295 0.812
0.750 0.750 0.000
0.250 0.250 0.000
0.862 0.362 0.224
0.362 0.138 0.500
0.638 0.862 0.500
0.138 0.638 0.776
```

Results
- Raw total energy: -0.195 hartree per atom
- Crystal system: tetragonal
- ΔH_f (0 K): -0.709 eV per atom

***

A relaxed LuBiTe3 crystal, computed with PBE.

```
LuBiTe3
1.0
10.682 -2.185 0.000
10.682 2.185 0.000
10.235 0.000 3.757
Te Bi Lu
3 1 1
Direct
0.220 0.220 0.220
0.995 0.995 0.995
0.785 0.785 0.785
0.398 0.398 0.398
0.602 0.602 0.602
```

Results
- Raw total energy: -0.159 hartree per atom
- Crystal system: trigonal
- ΔH_f (0 K): -1.019 eV per atom

***

A relaxed MgBi2 crystal, computed with PBE.

```
MgBi2
1.0
2.076 -3.142 -4.663
4.522 -0.760 -3.860
6.131 -7.108 2.414
Bi Mg
4 2
Direct
0.529 0.529 0.665
0.471 0.471 0.335
0.156 0.156 0.929
0.844 0.844 0.071
0.190 0.190 0.374
0.810 0.810 0.626
```

Results
- Raw total energy: -0.116 hartree per atom
- Crystal system: monoclinic
- ΔH_f (0 K): -0.019 eV per atom

***

A relaxed MgBi crystal, computed with PBE.

```
MgBi
1.0
0.020 3.147 2.068
-2.979 -0.820 -2.153
-1.895 -2.281 3.490
Bi Mg
1 1
Direct
0.333 0.667 0.500
0.000 0.000 0.000
```

Results
- Raw total energy: -0.101 hartree per atom
- Crystal system: hexagonal
- ΔH_f (0 K): -0.007 eV per atom

***

A relaxed Mg2Bi crystal, computed with PBE.

```
Mg2Bi
1.0
0.559 -5.351 -3.254
0.636 -6.254 0.138
-7.076 -3.636 -0.807
Mg Bi
4 2
Direct
0.870 0.870 0.028
0.449 0.449 0.305
0.130 0.130 0.972
0.551 0.551 0.695
0.823 0.823 0.677
0.177 0.177 0.323
```

Results
- Raw total energy: -0.089 hartree per atom
- Crystal system: monoclinic
- ΔH_f (0 K): -0.060 eV per atom

***

A relaxed MgBi crystal, computed with PBE.

```
MgBi
1.0
-3.731 1.355 -4.204
1.714 -1.736 -5.242
-2.874 -4.854 -0.622
Bi Mg
3 3
Direct
0.163 0.185 0.478
0.815 0.837 0.522
0.371 0.629 0.000
0.633 0.023 0.023
0.541 0.459 0.500
0.977 0.367 0.977
```

Results
- Raw total energy: -0.103 hartree per atom
- Crystal system: monoclinic
- ΔH_f (0 K): -0.054 eV per atom

***

A relaxed MgBi2 crystal, computed with PBE.

```
MgBi2
1.0
1.781 6.661 0.000
-1.781 6.661 0.000
0.000 2.448 7.543
Bi Mg
4 2
Direct
0.843 0.843 0.034
0.443 0.443 0.344
0.557 0.557 0.656
0.157 0.157 0.966
0.801 0.801 0.644
0.199 0.199 0.356
```

Results
- Raw total energy: -0.115 hartree per atom
- Crystal system: monoclinic
- ΔH_f (0 K): -0.015 eV per atom

***

A relaxed Mg2Bi crystal, computed with PBE.

```
Mg2Bi
1.0
5.615 -2.898 0.000
5.615 2.898 0.000
4.119 0.000 4.791
Mg Bi
4 2
Direct
0.664 0.336 0.000
0.500 0.500 0.500
0.336 0.000 0.664
0.000 0.664 0.336
0.164 0.164 0.164
0.836 0.836 0.836
```

Results
- Raw total energy: -0.088 hartree per atom
- Crystal system: trigonal
- ΔH_f (0 K): -0.030 eV per atom

***

A relaxed MgBi crystal, computed with PBE.

```
MgBi
1.0
1.684 6.442 0.000
-1.684 6.442 0.000
0.000 1.715 7.646
Bi Mg
3 3
Direct
0.594 0.594 0.301
0.336 0.336 0.345
0.291 0.291 0.904
0.003 0.003 0.996
0.661 0.661 0.669
0.949 0.949 0.618
```

Results
- Raw total energy: -0.101 hartree per atom
- Crystal system: monoclinic
- ΔH_f (0 K): -0.002 eV per atom

***

A relaxed Mg2Bi crystal, computed with PBE.

```
Mg2Bi
1.0
1.659 -8.245 0.000
1.659 8.245 0.000
0.000 0.000 5.724
Mg Bi
4 2
Direct
0.220 0.780 0.750
0.560 0.440 0.750
0.780 0.220 0.250
0.440 0.560 0.250
0.889 0.111 0.750
0.111 0.889 0.250
```

Results
- Raw total energy: -0.089 hartree per atom
- Crystal system: orthorhombic
- ΔH_f (0 K): -0.048 eV per atom

***

A relaxed Mg2Bi crystal, computed with PBE.

```
Mg2Bi
1.0
5.285 0.000 0.000
0.000 3.405 0.000
0.000 0.000 17.360
Mg Bi
8 4
Direct
0.500 0.500 0.056
0.500 0.000 0.556
0.000 0.000 0.663
0.000 0.500 0.163
0.000 0.000 0.006
0.000 0.500 0.506
0.000 0.500 0.831
0.000 0.000 0.331
0.500 0.000 0.903
0.500 0.000 0.209
0.500 0.500 0.709
0.500 0.500 0.403
```

Results
- Raw total energy: -0.088 hartree per atom
- ΔH_f (0 K): -0.033 eV per atom

***

A relaxed MgBi2 crystal, computed with PBE.

```
MgBi2
1.0
-5.894 -3.293 0.176
-3.577 -5.721 -0.308
-0.940 -2.469 7.877
Bi Mg
4 2
Direct
0.287 0.287 0.188
0.973 0.973 0.766
0.027 0.027 0.234
0.713 0.713 0.812
0.358 0.358 0.518
0.642 0.642 0.482
```

Results
- Raw total energy: -0.115 hartree per atom
- Crystal system: monoclinic
- ΔH_f (0 K): 0.003 eV per atom